The following is a DFT calculation (GGA-PBE) of an optimized crystal structure of CaAg3.

For the total energy, the calculation gives -0.2076 Ry per atom.

Cell: 4.379 4.379 8.821 Å, 90.00 90.00 90.00°
Space group I4/mmm (No. 139)
Inequivalent atoms, fractional coordinates:
Ca  0.000  0.000  0.000 x2
Ag  0.000  0.000  0.500 x2
Ag  0.000  0.500  0.250 x4

=====

The following is a DFT calculation (GGA-PBE) of an optimized crystal structure of GdCl.

For the total energy, the calculation gives -0.6807 Ry per atom. Its MP2020-corrected energy is -9.5690 eV per atom.

Cell: 3.6683 3.6683 9.5362 Å, 90.00 90.00 120.00°
Space group P6_3mc (No. 186)
Inequivalent atoms, fractional coordinates:
Gd  0.3333  0.6667  0.0000 x2
Cl  0.3333  0.6667  0.7115 x2

=====

The following is a DFT calculation (GGA-PBE) of an optimized crystal structure of Cs2IBrCl6.

For the total energy, the calculation gives -0.1804 Ry per atom. Its MP2020-corrected energy is -2.8227 eV per atom.

Cell: 11.372 11.372 11.372 Å, 90.00 90.00 90.00°
Space group Fm-3m (No. 225)
Inequivalent atoms, fractional coordinates:
Cs  0.250  0.250  0.250 x8
I  0.000  0.000  0.000 x4
Br  0.000  0.000  0.500 x4
Cl  0.000  0.000  0.228 x24

=====

The following is a DFT calculation (GGA-PBE) of an optimized crystal structure of NaTaZnSiS2O12.

For the total energy, the calculation gives -0.4959 Ry per atom. Its MP2020-corrected energy is -7.2050 eV per atom.

Cell: 15.216 8.857 22.798 Å, 90.00 90.74 90.00°
Space group Cc (No. 9)
Inequivalent atoms, fractional coordinates:
Na  0.000  0.002  0.000 x4
Na  0.163  0.489  0.835 x4
Na  0.318  0.012  0.667 x4
Ta  0.155  0.497  0.488 x4
Ta  0.318  0.015  0.821 x4
Ta  0.489  0.499  0.655 x4
Zn  0.166  0.481  0.695 x4
Zn  0.307  0.008  0.527 x4
Zn  0.489  0.495  0.360 x4
Si  0.158  0.206  0.594 x4
Si  0.170  0.145  0.927 x4
Si  0.345  0.366  0.763 x4
S  0.013  0.357  0.094 x4
S  0.134  0.149  0.259 x4
S  0.301  0.354  0.094 x4
S  0.322  0.288  0.427 x4
S  0.465  0.141  0.929 x4
S  0.487  0.207  0.259 x4
O  0.004  0.203  0.811 x4
O  0.005  0.183  0.098 x4
O  0.055  0.412  0.147 x4
O  0.055  0.439  0.431 x4
O  0.058  0.402  0.751 x4
O  0.065  0.101  0.600 x4
O  0.070  0.381  0.040 x4
O  0.074  0.077  0.916 x4
O  0.086  0.118  0.312 x4
O  0.094  0.070  0.205 x4
O  0.142  0.319  0.534 x4
O  0.145  0.309  0.248 x4
O  0.164  0.307  0.651 x4
O  0.167  0.335  0.934 x4
O  0.217  0.081  0.983 x4
O  0.226  0.075  0.264 x4
O  0.237  0.112  0.867 x4
O  0.237  0.383  0.432 x4
O  0.242  0.097  0.590 x4
O  0.247  0.430  0.758 x4
O  0.248  0.376  0.145 x4
O  0.258  0.425  0.040 x4
O  0.307  0.194  0.373 x4
O  0.322  0.196  0.085 x4
O  0.336  0.199  0.480 x4
O  0.339  0.171  0.768 x4
O  0.389  0.440  0.098 x4
O  0.394  0.396  0.421 x4
O  0.394  0.421  0.820 x4
O  0.401  0.124  0.264 x4
O  0.407  0.393  0.703 x4
O  0.415  0.104  0.980 x4
O  0.424  0.070  0.873 x4
O  0.426  0.080  0.583 x4
O  0.476  0.311  0.205 x4
O  0.480  0.301  0.921 x4

=====

The following is a DFT calculation (GGA-PBE) of an optimized crystal structure of Nd11In9Ni4.

For the total energy, the calculation gives -0.3424 Ry per atom.

Cell: 14.734 22.134 3.744 Å, 90.00 90.00 90.00°
Space group Cmmm (No. 65)
Inequivalent atoms, fractional coordinates:
Nd  0.000  0.000  0.000 x2
Nd  0.000  0.162  0.000 x4
Nd  0.000  0.375  0.000 x4
Nd  0.187  0.500  0.000 x4
Nd  0.247  0.169  0.000 x8
In  0.000  0.500  0.500 x2
In  0.103  0.265  0.500 x8
In  0.150  0.070  0.500 x8
Ni  0.153  0.399  0.500 x8

=====

The following is a DFT calculation (GGA-PBE) of an optimized crystal structure of In5Br7.

For the total energy, the calculation gives -0.2083 Ry per atom. Its MP2020-corrected energy is -3.1460 eV per atom.

Cell: 19.043 19.039 19.863 Å, 90.00 104.42 90.00°
Space group C2/c (No. 15)
Inequivalent atoms, fractional coordinates:
In  0.000  0.072  0.250 x4
In  0.000  0.193  0.750 x4
In  0.021  0.283  0.402 x8
In  0.057  0.417  0.915 x8
In  0.106  0.080  0.587 x8
In  0.133  0.437  0.252 x8
In  0.154  0.337  0.637 x8
In  0.191  0.047  0.901 x8
In  0.197  0.120  0.135 x8
In  0.208  0.210  0.366 x8
In  0.245  0.259  0.137 x8
Br  0.022  0.062  0.849 x8
Br  0.023  0.439  0.349 x8
Br  0.047  0.252  0.576 x8
Br  0.065  0.096  0.061 x8
Br  0.109  0.373  0.747 x8
Br  0.110  0.246  0.251 x8
Br  0.111  0.450  0.563 x8
Br  0.127  0.121  0.414 x8
Br  0.144  0.353  0.087 x8
Br  0.158  0.213  0.932 x8
Br  0.190  0.046  0.244 x8
Br  0.190  0.174  0.748 x8
Br  0.197  0.325  0.434 x8
Br  0.233  0.470  0.926 x8

=====

The following is a DFT calculation (GGA-PBE) of an optimized crystal structure of Ta6Be15Cu8.

For the total energy, the calculation gives -0.4204 Ry per atom.

Cell: 10.814 10.814 10.814 Å, 90.00 90.00 90.00°
Space group Fm-3m (No. 225)
Inequivalent atoms, fractional coordinates:
Ta  0.000  0.000  0.192 x24
Be  0.000  0.000  0.500 x4
Be  0.000  0.250  0.250 x24
Be  0.173  0.173  0.173 x32
Cu  0.123  0.123  0.377 x32

=====

The following is a DFT calculation (GGA-PBE) of an optimized crystal structure of Dy4Ni12Sn25.

For the total energy, the calculation gives -0.3612 Ry per atom.

Cell: 11.951 11.951 11.951 Å, 90.00 90.00 90.00°
Space group Im-3 (No. 204)
Inequivalent atoms, fractional coordinates:
Dy  0.250  0.250  0.250 x8
Ni  0.000  0.320  0.163 x24
Sn  0.000  0.000  0.000 x2
Sn  0.000  0.127  0.249 x24
Sn  0.000  0.373  0.371 x24

=====

no.,calculated formation energy (meV/atom),calculated volume (Å³/cell)
1,-199,169.1
2,-1607,111.1
3,-1218,1470.6
4,-2343,3072.2
5,-478,1221.0
6,-1045,6974.5
7,-201,1264.5
8,-328,1707.0